[1]
Computed, not measured: a relaxed structure of Co5Sn2Sb2 at the PBE level of DFT.

Output
The formation energy comes out at -0.06 eV per atom. The calculation puts the total energy at -52.0 eV per cell.

abc: 4.150 4.150 9.890
angles: 90.00 90.00 120.00
Atoms (fractional coordinates):
Co  0.000  0.000  0.000
Co  0.333  0.667  0.129
Co  0.333  0.667  0.374
Co  0.333  0.667  0.626
Co  0.333  0.667  0.871
Sn  0.667  0.333  0.000
Sn  0.667  0.333  0.500
Sb  0.000  0.000  0.260
Sb  0.000  0.000  0.740

[2]
Computed, not measured: a relaxed structure of GaN3F6 at the PBE level of DFT.

Output
The formation energy comes out at 0.17 eV per atom. The calculation puts the total energy at -140.4 eV per cell.

abc: 7.667 7.667 7.667
angles: 90.00 90.00 90.00
Atoms (fractional coordinates):
Ga  0.000  0.000  0.000
Ga  0.000  0.500  0.500
Ga  0.500  0.000  0.500
Ga  0.500  0.500  0.000
N  0.000  0.000  0.500
N  0.000  0.500  0.000
N  0.247  0.747  0.753
N  0.247  0.753  0.253
N  0.253  0.247  0.753
N  0.253  0.253  0.253
N  0.500  0.000  0.000
N  0.500  0.500  0.500
N  0.747  0.747  0.747
N  0.747  0.753  0.247
N  0.753  0.247  0.747
N  0.753  0.253  0.247
F  0.002  0.003  0.256
F  0.002  0.497  0.756
F  0.003  0.244  0.502
F  0.003  0.256  0.002
F  0.244  0.502  0.003
F  0.244  0.998  0.503
F  0.256  0.002  0.003
F  0.256  0.498  0.503
F  0.497  0.744  0.502
F  0.497  0.756  0.002
F  0.498  0.503  0.256
F  0.498  0.997  0.756
F  0.502  0.003  0.244
F  0.502  0.497  0.744
F  0.503  0.244  0.998
F  0.503  0.256  0.498
F  0.744  0.502  0.497
F  0.744  0.998  0.997
F  0.756  0.002  0.497
F  0.756  0.498  0.997
F  0.997  0.744  0.998
F  0.997  0.756  0.498
F  0.998  0.503  0.244
F  0.998  0.997  0.744

[3]
Computed, not measured: a relaxed structure of SrMgHg2 at the PBE level of DFT.

Output
The formation energy comes out at -0.39 eV per atom. The calculation puts the total energy at -21.8 eV per cell.

abc: 7.516 7.516 7.516
angles: 90.00 90.00 90.00
Atoms (fractional coordinates):
Sr  0.000  0.000  0.000
Sr  0.000  0.500  0.500
Sr  0.500  0.000  0.500
Sr  0.500  0.500  0.000
Mg  0.000  0.000  0.500
Mg  0.000  0.500  0.000
Mg  0.500  0.000  0.000
Mg  0.500  0.500  0.500
Hg  0.250  0.250  0.250
Hg  0.250  0.250  0.750
Hg  0.250  0.750  0.250
Hg  0.250  0.750  0.750
Hg  0.750  0.250  0.250
Hg  0.750  0.250  0.750
Hg  0.750  0.750  0.250
Hg  0.750  0.750  0.750

[4]
Computed, not measured: a relaxed structure of Cs3SbSe4 at the PBE level of DFT.

Output
The formation energy comes out at -1.13 eV per atom. The calculation puts the total energy at -111.7 eV per cell.

abc: 10.427 12.193 10.869
angles: 90.00 90.00 90.00
Atoms (fractional coordinates):
Cs  0.057  0.044  0.197
Cs  0.057  0.456  0.197
Cs  0.144  0.750  0.421
Cs  0.356  0.250  0.921
Cs  0.443  0.544  0.697
Cs  0.443  0.956  0.697
Cs  0.557  0.044  0.303
Cs  0.557  0.456  0.303
Cs  0.644  0.750  0.079
Cs  0.856  0.250  0.579
Cs  0.943  0.544  0.803
Cs  0.943  0.956  0.803
Sb  0.230  0.750  0.978
Sb  0.270  0.250  0.478
Sb  0.730  0.750  0.522
Sb  0.770  0.250  0.022
Se  0.015  0.750  0.086
Se  0.148  0.078  0.532
Se  0.148  0.422  0.532
Se  0.191  0.750  0.750
Se  0.309  0.250  0.250
Se  0.352  0.578  0.032
Se  0.352  0.922  0.032
Se  0.485  0.250  0.586
Se  0.515  0.750  0.414
Se  0.648  0.078  0.968
Se  0.648  0.422  0.968
Se  0.691  0.750  0.750
Se  0.809  0.250  0.250
Se  0.852  0.578  0.468
Se  0.852  0.922  0.468
Se  0.985  0.250  0.914

[5]
Computed, not measured: a relaxed structure of Sc2Se3 at the PBE level of DFT.

Output
The formation energy comes out at -1.96 eV per atom. The calculation puts the total energy at -63.1 eV per cell.

abc: 3.835 5.422 11.905
angles: 90.00 90.00 90.00
Atoms (fractional coordinates):
Sc  0.000  0.000  0.162
Sc  0.000  0.000  0.838
Sc  0.500  0.500  0.338
Sc  0.500  0.500  0.662
Se  0.000  0.500  0.179
Se  0.000  0.500  0.500
Se  0.000  0.500  0.821
Se  0.500  0.000  0.000
Se  0.500  0.000  0.321
Se  0.500  0.000  0.679

[6]
Computed, not measured: a relaxed structure of MgZn2 at the PBE level of DFT.

Output
The formation energy comes out at -0.03 eV per atom. The calculation puts the total energy at -16.9 eV per cell.

abc: 4.616 2.971 15.210
angles: 90.00 90.00 90.00
Atoms (fractional coordinates):
Mg  0.000  0.000  0.000
Mg  0.000  0.000  0.321
Mg  0.000  0.500  0.500
Mg  0.000  0.500  0.821
Zn  0.000  0.000  0.661
Zn  0.000  0.500  0.161
Zn  0.500  0.000  0.111
Zn  0.500  0.000  0.437
Zn  0.500  0.000  0.765
Zn  0.500  0.500  0.265
Zn  0.500  0.500  0.611
Zn  0.500  0.500  0.937

[7]
Computed, not measured: a relaxed structure of RbAlH8N4 at the PBE level of DFT.

Output
The formation energy comes out at -0.60 eV per atom. The excess energy over the best structure of this formula in the dataset is 0.000 eV per atom. The calculation puts the total energy at -144.4 eV per cell.

abc: 7.744 7.744 5.774
angles: 90.00 90.00 90.00
Atoms (fractional coordinates):
Rb  0.250  0.250  0.223
Rb  0.750  0.750  0.777
Al  0.250  0.750  0.500
Al  0.750  0.250  0.500
H  0.010  0.416  0.660
H  0.084  0.010  0.660
H  0.093  0.685  0.132
H  0.185  0.907  0.868
H  0.315  0.593  0.868
H  0.407  0.815  0.132
H  0.416  0.490  0.660
H  0.490  0.084  0.660
H  0.510  0.916  0.340
H  0.584  0.510  0.340
H  0.593  0.185  0.868
H  0.685  0.407  0.132
H  0.815  0.093  0.132
H  0.907  0.315  0.868
H  0.916  0.990  0.340
H  0.990  0.584  0.340
N  0.108  0.631  0.292
N  0.131  0.892  0.708
N  0.369  0.608  0.708
N  0.392  0.869  0.292
N  0.608  0.131  0.708
N  0.631  0.392  0.292
N  0.869  0.108  0.292
N  0.892  0.369  0.708

[8]
Computed, not measured: a relaxed structure of BeCdO3 at the PBE level of DFT.

Output
The formation energy comes out at -1.27 eV per atom. The calculation puts the total energy at -23.8 eV per cell.

abc: 3.615 3.615 3.615
angles: 90.00 90.00 90.00
Atoms (fractional coordinates):
Be  0.000  0.000  0.000
Cd  0.500  0.500  0.500
O  0.000  0.000  0.500
O  0.000  0.500  0.000
O  0.500  0.000  0.000

Copy entry 2 word for word.
Computed, not measured: a relaxed structure of GaN3F6 at the PBE level of DFT.

Output
The formation energy comes out at 0.17 eV per atom. The calculation puts the total energy at -140.4 eV per cell.

abc: 7.667 7.667 7.667
angles: 90.00 90.00 90.00
Atoms (fractional coordinates):
Ga  0.000  0.000  0.000
Ga  0.000  0.500  0.500
Ga  0.500  0.000  0.500
Ga  0.500  0.500  0.000
N  0.000  0.000  0.500
N  0.000  0.500  0.000
N  0.247  0.747  0.753
N  0.247  0.753  0.253
N  0.253  0.247  0.753
N  0.253  0.253  0.253
N  0.500  0.000  0.000
N  0.500  0.500  0.500
N  0.747  0.747  0.747
N  0.747  0.753  0.247
N  0.753  0.247  0.747
N  0.753  0.253  0.247
F  0.002  0.003  0.256
F  0.002  0.497  0.756
F  0.003  0.244  0.502
F  0.003  0.256  0.002
F  0.244  0.502  0.003
F  0.244  0.998  0.503
F  0.256  0.002  0.003
F  0.256  0.498  0.503
F  0.497  0.744  0.502
F  0.497  0.756  0.002
F  0.498  0.503  0.256
F  0.498  0.997  0.756
F  0.502  0.003  0.244
F  0.502  0.497  0.744
F  0.503  0.244  0.998
F  0.503  0.256  0.498
F  0.744  0.502  0.497
F  0.744  0.998  0.997
F  0.756  0.002  0.497
F  0.756  0.498  0.997
F  0.997  0.744  0.998
F  0.997  0.756  0.498
F  0.998  0.503  0.244
F  0.998  0.997  0.744